# 1
This record from Materials Project describes K2MgCu2O4 after structural relaxation. The functional is PBE.

abc: 6.438 6.438 7.015
angles: 98.88 98.88 29.35
Atoms (fractional coordinates):
K: 0.236 0.236 0.247
K: 0.764 0.764 0.753
Mg: 0.000 0.000 0.500
Cu: 0.492 0.492 0.824
Cu: 0.508 0.508 0.176
O: 0.386 0.386 0.000
O: 0.407 0.407 0.578
O: 0.593 0.593 0.422
O: 0.614 0.614 0.000

Values from the calculation:
The calculation puts the theoretical density at 3.5 g cm⁻³. The value obtained for the total moment is 0.000 μB per formula unit. For the corrected total energy (MP2020 scheme), the calculation gives -4.961 eV/atom.

***

# 2
This record from Materials Project describes KNaB2H8 after structural relaxation. The functional is PBE.

abc: 7.857 7.857 7.857
angles: 33.52 33.52 33.52
Atoms (fractional coordinates):
K: 0.000 0.000 0.000
Na: 0.500 0.500 0.500
B: 0.244 0.244 0.244
B: 0.756 0.756 0.756
H: 0.028 0.135 0.515
H: 0.135 0.515 0.028
H: 0.300 0.300 0.300
H: 0.485 0.972 0.865
H: 0.515 0.028 0.135
H: 0.700 0.700 0.700
H: 0.865 0.485 0.972
H: 0.972 0.865 0.485

Values from the calculation:
The calculation puts the theoretical density at 1.2 g cm⁻³. The value obtained for the total moment is 0.000 μB per formula unit. For the corrected total energy (MP2020 scheme), the calculation gives -4.045 eV/atom.

***

Computed ΔE_f (eV per formula unit) in order:
-12.84 -5.60